[1]
CaMgSn | GGA-PBE | optimized geometry

a = 7.881 Å, b = 4.720 Å, c = 8.818 Å
α = 90.00°, β = 90.00°, γ = 90.00°
Sites, in units of the cell vectors:
Ca: 0.019 0.250 0.184
Ca: 0.481 0.750 0.684
Ca: 0.519 0.250 0.316
Ca: 0.981 0.750 0.816
Mg: 0.144 0.250 0.563
Mg: 0.356 0.750 0.063
Mg: 0.644 0.250 0.937
Mg: 0.856 0.750 0.437
Sn: 0.235 0.750 0.384
Sn: 0.265 0.250 0.884
Sn: 0.735 0.750 0.116
Sn: 0.765 0.250 0.616

Properties
Its space-group type is Pnma.


[2]
Ca4MgSn3 | GGA-PBE | optimized geometry

a = 9.256 Å, b = 9.256 Å, c = 9.256 Å
α = 96.13°, β = 96.13°, γ = 141.84°
Sites, in units of the cell vectors:
Ca: 0.083 0.783 0.866
Ca: 0.217 0.083 0.300
Ca: 0.283 0.583 0.866
Ca: 0.417 0.283 0.700
Ca: 0.583 0.717 0.300
Ca: 0.717 0.417 0.134
Ca: 0.783 0.917 0.700
Ca: 0.917 0.217 0.134
Mg: 0.250 0.750 0.500
Mg: 0.750 0.250 0.500
Sn: 0.153 0.347 0.500
Sn: 0.250 0.250 0.000
Sn: 0.347 0.847 0.194
Sn: 0.653 0.153 0.806
Sn: 0.750 0.750 0.000
Sn: 0.847 0.653 0.500

Properties
Its space-group type is I4/mcm.


[3]
SrCaMg6 | GGA-PBE | optimized geometry

a = 5.351 Å, b = 7.336 Å, c = 11.671 Å
α = 90.00°, β = 90.00°, γ = 90.00°
Sites, in units of the cell vectors:
Ca: 0.000 0.500 0.396
Ca: 0.000 0.000 0.896
Mg: 0.500 0.215 0.340
Mg: 0.000 0.000 0.409
Mg: 0.500 0.785 0.340
Mg: 0.000 0.785 0.162
Mg: 0.500 0.715 0.840
Mg: 0.000 0.215 0.162
Mg: 0.500 0.500 0.585
Mg: 0.500 0.285 0.840
Mg: 0.000 0.715 0.662
Mg: 0.500 0.000 0.085
Mg: 0.000 0.500 0.909
Mg: 0.000 0.285 0.662
Sr: 0.500 0.000 0.606
Sr: 0.500 0.500 0.106

Properties
As for the relative energy among the computed polymorphs: 0 meV/atom.


[4]
SrCaMg6 | GGA-PBE | optimized geometry

a = 5.424 Å, b = 7.135 Å, c = 11.880 Å
α = 90.00°, β = 90.00°, γ = 90.00°
Sites, in units of the cell vectors:
Ca: 0.500 0.500 0.336
Ca: 0.500 0.000 0.836
Mg: 0.000 0.500 0.160
Mg: 0.500 0.252 0.581
Mg: 0.000 0.500 0.655
Mg: 0.500 0.748 0.581
Mg: 0.000 0.000 0.155
Mg: 0.500 0.752 0.081
Mg: 0.000 0.000 0.660
Mg: 0.000 0.244 0.926
Mg: 0.000 0.256 0.426
Mg: 0.000 0.744 0.426
Mg: 0.500 0.248 0.081
Mg: 0.000 0.756 0.926
Sr: 0.500 0.500 0.835
Sr: 0.500 0.000 0.335

Properties
As for the relative energy among the computed polymorphs: 84 meV/atom.


[5]
CaMg14V | GGA-PBE | optimized geometry

a = 10.366 Å, b = 6.483 Å, c = 6.483 Å
α = 59.64°, β = 90.00°, γ = 90.00°
Sites, in units of the cell vectors:
Ca: 0.000 0.000 0.000
Mg: 0.000 0.007 0.497
Mg: 0.000 0.497 0.007
Mg: 0.241 0.662 0.662
Mg: 0.252 0.174 0.657
Mg: 0.252 0.657 0.174
Mg: 0.259 0.168 0.168
Mg: 0.500 0.500 0.500
Mg: 0.500 0.501 0.998
Mg: 0.500 0.998 0.501
Mg: 0.500 0.999 0.999
Mg: 0.741 0.168 0.168
Mg: 0.748 0.174 0.657
Mg: 0.748 0.657 0.174
Mg: 0.759 0.662 0.662
V: 0.000 0.497 0.497

Properties
Its space-group type is Amm2.


[6]
CaMg14V | GGA-PBE | optimized geometry

a = 6.454 Å, b = 6.454 Å, c = 10.323 Å
α = 90.00°, β = 90.00°, γ = 120.00°
Sites, in units of the cell vectors:
Ca: 0.000 0.000 0.000
Mg: 0.009 0.505 0.000
Mg: 0.166 0.332 0.262
Mg: 0.166 0.332 0.738
Mg: 0.166 0.834 0.262
Mg: 0.166 0.834 0.738
Mg: 0.495 0.505 0.000
Mg: 0.495 0.991 0.000
Mg: 0.500 0.001 0.500
Mg: 0.500 0.500 0.500
Mg: 0.667 0.333 0.244
Mg: 0.667 0.333 0.756
Mg: 0.668 0.834 0.262
Mg: 0.668 0.834 0.738
Mg: 0.999 0.500 0.500
V: 0.000 0.000 0.500

Properties
Its space-group type is P-6m2.


[7]
CaMg14W | GGA-PBE | optimized geometry

a = 10.147 Å, b = 6.391 Å, c = 6.391 Å
α = 60.45°, β = 90.00°, γ = 90.00°
Sites, in units of the cell vectors:
Ca: 0.000 0.000 0.000
Mg: 0.000 0.004 0.498
Mg: 0.000 0.498 0.004
Mg: 0.237 0.660 0.660
Mg: 0.247 0.182 0.655
Mg: 0.247 0.655 0.182
Mg: 0.258 0.169 0.169
Mg: 0.500 0.500 0.500
Mg: 0.500 0.503 0.997
Mg: 0.500 0.997 0.503
Mg: 0.500 0.998 0.998
Mg: 0.742 0.169 0.169
Mg: 0.753 0.182 0.655
Mg: 0.753 0.655 0.182
Mg: 0.763 0.660 0.660
W: 0.000 0.493 0.493

Properties
As for the relative energy among the computed polymorphs: 0 meV/atom. Its space-group type is Amm2.


[8]
CaMg14W | GGA-PBE | optimized geometry

a = 6.410 Å, b = 6.410 Å, c = 10.172 Å
α = 90.00°, β = 90.00°, γ = 120.00°
Sites, in units of the cell vectors:
Ca: 0.000 0.000 0.000
Mg: 0.009 0.504 0.000
Mg: 0.163 0.326 0.268
Mg: 0.163 0.326 0.732
Mg: 0.163 0.837 0.268
Mg: 0.163 0.837 0.732
Mg: 0.496 0.504 0.000
Mg: 0.496 0.991 0.000
Mg: 0.502 0.003 0.500
Mg: 0.502 0.498 0.500
Mg: 0.667 0.333 0.244
Mg: 0.667 0.333 0.756
Mg: 0.674 0.837 0.268
Mg: 0.674 0.837 0.732
Mg: 0.997 0.498 0.500
W: 0.000 0.000 0.500

Properties
As for the relative energy among the computed polymorphs: 5 meV/atom. Its space-group type is P-6m2.


Ordered energy relative to the elements results: -553.0, -602.3, -24.2, 59.5, 93.8, 95.6, 171.0, 175.6; unit meV per atom.
Ordered raw total energy results: -3.091, -3.309, -1.686, -1.603, -2.000, -1.998, -2.165, -2.160; unit eV/atom.